No. 1
AlVF5: optimized geometry, GGA+U.

POSCAR file:
```
AlVF5
1.0
-1.800 3.165 3.860
1.800 -3.165 3.860
1.800 3.165 -3.860
F Al V
5 1 1
direct
0.268 0.268 0.000
0.732 0.732 0.000
0.795 0.500 0.295
0.205 0.500 0.705
0.500 0.000 0.500
0.500 0.500 0.000
0.000 0.000 0.000
```

Output
The value obtained for the size of the total moment is 3.00 μB per formula unit. As for the formation energy: -3473 meV per atom. Its crystal system is orthorhombic. Its space group is Immm, No. 71. The calculation puts the total energy at -6.10 eV per atom.

***

No. 2
AlW3F15: optimized geometry, GGA+U.

POSCAR file:
```
AlW3F15
1.0
10.040 0.000 0.000
0.000 6.152 0.000
0.000 2.487 9.870
F W Al
30 6 2
direct
0.612 0.738 0.051
0.095 0.893 0.482
0.895 0.716 0.711
0.398 0.844 0.873
0.750 0.100 0.326
0.105 0.284 0.289
0.884 0.720 0.390
0.384 0.280 0.610
0.405 0.893 0.482
0.250 0.595 0.384
0.888 0.738 0.051
0.395 0.284 0.289
0.116 0.280 0.610
0.102 0.844 0.873
0.616 0.720 0.390
0.577 0.102 0.800
0.250 0.599 0.103
0.250 0.900 0.674
0.077 0.898 0.200
0.602 0.156 0.127
0.388 0.262 0.949
0.605 0.716 0.711
0.905 0.107 0.518
0.750 0.405 0.616
0.898 0.156 0.127
0.923 0.102 0.800
0.750 0.401 0.897
0.112 0.262 0.949
0.423 0.898 0.200
0.595 0.107 0.518
0.000 0.000 0.000
0.045 0.980 0.667
0.500 0.000 0.000
0.955 0.020 0.333
0.455 0.980 0.667
0.545 0.020 0.333
0.250 0.456 0.265
0.750 0.544 0.735
```

Output
The value obtained for the size of the total moment is 6.00 μB per formula unit. As for the formation energy: -2799 meV per atom. Its crystal system is monoclinic. Its space group is P2_1/m, No. 11. The calculation puts the total energy at -5.49 eV per atom.

***

No. 3
Sr2AlGaFe2O7: optimized geometry, GGA+U.

POSCAR file:
```
Sr2AlGaFe2O7
1.0
2.880 11.418 0.000
-2.880 11.418 0.000
0.000 1.321 5.349
Fe O Sr Al Ga
4 14 4 2 2
direct
0.448 0.938 0.060
0.938 0.448 0.560
0.081 0.559 0.434
0.559 0.081 0.934
0.131 0.716 0.348
0.884 0.267 0.703
0.122 0.277 0.879
0.716 0.131 0.848
0.277 0.122 0.379
0.216 0.406 0.115
0.718 0.892 0.258
0.612 0.390 0.374
0.267 0.884 0.203
0.406 0.216 0.615
0.780 0.608 0.227
0.892 0.718 0.758
0.608 0.780 0.727
0.390 0.612 0.874
0.327 0.874 0.645
0.118 0.686 0.845
0.874 0.327 0.145
0.686 0.118 0.345
0.002 0.505 0.003
0.505 0.002 0.503
0.673 0.329 0.716
0.329 0.673 0.216
```

Output
The value obtained for the size of the total moment is 8.00 μB per formula unit. As for the formation energy: -2479 meV per atom. Its crystal system is monoclinic. Its space group is Cc, No. 9. The calculation puts the total energy at -6.51 eV per atom.

***

No. 4
KMg2AlFeSi3H2O12: optimized geometry, GGA+U.

POSCAR file:
```
KMg2AlFeSi3H2O12
1.0
5.292 0.002 -0.963
0.006 -18.629 0.075
-0.064 0.043 -10.695
K O Mg Si Al H Fe
4 48 8 12 4 8 4
direct
0.494 0.999 0.024
0.994 0.249 0.024
0.994 0.749 0.024
0.494 0.499 0.024
0.809 0.126 0.824
0.868 0.586 0.387
0.310 0.124 0.821
0.875 0.250 0.402
0.309 0.624 0.821
0.627 0.334 0.610
0.649 0.391 0.174
0.649 0.892 0.174
0.368 0.336 0.387
0.127 0.585 0.610
0.375 0.500 0.402
0.169 0.355 0.173
0.374 0.000 0.402
0.617 0.501 0.602
0.309 0.876 0.824
0.627 0.835 0.610
0.053 0.500 0.819
0.365 0.665 0.400
0.117 0.752 0.602
0.309 0.376 0.824
0.137 0.413 0.610
0.149 0.142 0.174
0.519 0.753 0.178
0.669 0.605 0.174
0.809 0.374 0.821
0.809 0.626 0.824
0.137 0.913 0.610
0.127 0.085 0.610
0.365 0.165 0.400
0.865 0.415 0.400
0.868 0.086 0.387
0.053 0.000 0.819
0.810 0.874 0.821
0.019 0.003 0.177
0.637 0.163 0.610
0.617 0.001 0.602
0.019 0.503 0.178
0.368 0.837 0.387
0.865 0.915 0.400
0.169 0.855 0.174
0.669 0.105 0.174
0.874 0.750 0.403
0.553 0.750 0.819
0.149 0.641 0.174
0.519 0.253 0.177
0.553 0.250 0.819
0.637 0.663 0.610
0.117 0.251 0.602
0.003 0.666 0.495
0.004 0.834 0.495
0.503 0.916 0.495
0.504 0.416 0.495
0.004 0.166 0.495
0.504 0.584 0.495
0.004 0.334 0.495
0.504 0.084 0.495
0.426 0.334 0.229
0.079 0.416 0.763
0.579 0.166 0.763
0.426 0.834 0.229
0.579 0.666 0.763
0.926 0.584 0.229
0.079 0.916 0.763
0.577 0.333 0.763
0.077 0.083 0.763
0.926 0.084 0.229
0.077 0.583 0.763
0.577 0.833 0.763
0.425 0.666 0.233
0.425 0.166 0.233
0.925 0.416 0.233
0.925 0.916 0.233
0.106 0.252 0.693
0.606 0.002 0.693
0.106 0.752 0.693
0.605 0.502 0.693
0.392 0.001 0.311
0.892 0.751 0.311
0.892 0.251 0.311
0.392 0.501 0.311
0.496 0.249 0.494
0.995 0.499 0.494
0.495 0.749 0.494
0.996 0.999 0.494
```

Output
The value obtained for the size of the total moment is 0.00 μB per formula unit. As for the formation energy: -2812 meV per atom. Its crystal system is triclinic. Its space group is P1, No. 1. The calculation puts the total energy at -6.83 eV per atom.

***

No. 5
KAl4Fe3H2O12: optimized geometry, GGA+U.

POSCAR file:
```
KAl4Fe3H2O12
1.0
4.704 2.713 0.000
-4.704 2.713 0.000
0.000 1.876 10.347
Al K Fe O H
4 1 3 12 2
direct
0.741 0.408 0.781
0.592 0.259 0.219
0.259 0.592 0.219
0.408 0.741 0.781
0.000 0.000 0.000
0.826 0.174 0.500
0.500 0.500 0.500
0.174 0.826 0.500
0.126 0.126 0.598
0.441 0.441 0.815
0.801 0.472 0.596
0.062 0.684 0.816
0.316 0.938 0.184
0.528 0.199 0.404
0.559 0.559 0.185
0.938 0.316 0.184
0.472 0.801 0.596
0.684 0.062 0.816
0.874 0.874 0.402
0.199 0.528 0.404
0.084 0.084 0.693
0.916 0.916 0.307
```

Output
The value obtained for the size of the total moment is 15.00 μB per formula unit. As for the formation energy: -2393 meV per atom. Its crystal system is monoclinic. Its space group is C2/m, No. 12. The calculation puts the total energy at -6.60 eV per atom.